Record 1
This record from Materials Project describes crystalline ZnBPH2O6 at its relaxed geometry. The functional is PBE-GGA.

abc: 9.2628 9.0523 10.7374
angles: 90.00 90.00 90.00
With the nearest neighbours (Å) after each atom.
Space group Pbcn (No. 60)
Unique sites:
Zn (0.0000, 0.1277, 0.2500) [4 per cell]  4 O 1.97-2.00
Zn (0.0000, 0.3609, 0.7500) [4 per cell]  4 O 1.96
B (0.2423, 0.4737, 0.5783) [8 per cell]  4 O 1.47-1.48
P (0.2367, 0.2277, 0.4260) [8 per cell]  4 O 1.53-1.56
H (0.0423, 0.4151, 0.1128) [8 per cell]  1 O 0.99
H (0.1636, 0.0921, 0.7254) [8 per cell]  1 O 0.99
O (0.0851, 0.2603, 0.3753) [8 per cell]  1 P 1.53
O (0.0979, 0.4948, 0.6335) [8 per cell]  1 H 0.99
O (0.1436, 0.0068, 0.6698) [8 per cell]  1 H 0.99
O (0.1471, 0.2368, 0.8283) [8 per cell]  1 P 1.54, 1 H 1.72
O (0.2371, 0.1842, 0.0488) [8 per cell]  1 B 1.48, 1 P 1.56
O (0.2498, 0.0613, 0.4618) [8 per cell]  1 B 1.48, 1 P 1.56

Results
Formation enthalpy at 0 K ... -2221 meV per atom
V ... 900.3 Å³ per cell
Total magnetic moment ... 0.00 μB/cell

---

Record 2
This record from Materials Project describes crystalline Na2Ta4Nb4Si9S3O48 at its relaxed geometry. The functional is PBE-GGA.

abc: 8.9089 15.4469 22.9949
angles: 89.87 89.99 89.96
With the nearest neighbours (Å) after each atom.
Space group P1 (No. 1)
Unique sites:
Na (0.0000, 0.0000, 0.0000) [1 per cell]  6 O 2.57-2.75
Na (0.0008, 0.0026, 0.5028) [1 per cell]  6 O 2.59-2.71
Na (0.4945, 0.5025, 0.9991) [1 per cell]  6 O 2.51-2.77
Na (0.4957, 0.4999, 0.5037) [1 per cell]  6 O 2.52-2.73
Na (0.4972, 0.8346, 0.8354) [1 per cell]  6 O 2.61-2.68
Na (0.9979, 0.3331, 0.3377) [1 per cell]  6 O 2.56-2.72
Ta (0.0000, 0.6749, 0.8087) [1 per cell]  5 O 1.88-1.98
Ta (0.0008, 0.9973, 0.1534) [1 per cell]  4 O 1.88-1.98
Ta (0.4935, 0.4980, 0.6537) [1 per cell]  4 O 1.87-2.00
Ta (0.4940, 0.1740, 0.3096) [1 per cell]  5 O 1.90-1.98
Ta (0.4969, 0.8322, 0.1920) [1 per cell]  6 O 1.93-2.16
Ta (0.4983, 0.8394, 0.4788) [1 per cell]  5 O 1.93-2.02
Ta (0.5021, 0.1711, 0.0193) [1 per cell]  4 O 1.89-1.97
Ta (0.5045, 0.1692, 0.8148) [1 per cell]  5 O 1.93-1.99
Ta (0.9929, 0.6714, 0.5217) [1 per cell]  4 O 1.90-1.98
Ta (0.9954, 0.6739, 0.3178) [1 per cell]  4 O 1.89-1.97
Ta (0.9960, 0.3392, 0.9763) [1 per cell]  5 O 1.91-1.99
Ta (0.9984, 0.3299, 0.6935) [1 per cell]  5 O 1.93-2.01
Nb (0.0061, 0.0012, 0.3539) [1 per cell]  5 O 1.90-2.03
Nb (0.0064, 0.6753, 0.0293) [1 per cell]  5 O 1.89-1.98
Nb (0.0066, 0.3276, 0.4786) [1 per cell]  5 O 1.92-2.03
Nb (0.4871, 0.8288, 0.9767) [1 per cell]  5 O 1.90-1.99
Nb (0.4879, 0.1737, 0.5308) [1 per cell]  5 O 1.88-2.02
Nb (0.4884, 0.4965, 0.3631) [1 per cell]  4 O 1.89-1.98
Nb (0.4879, 0.5006, 0.8531) [1 per cell]  5 O 1.89-2.04
Nb (0.4935, 0.4958, 0.1412) [1 per cell]  4 O 1.90-1.95
Nb (0.5068, 0.8408, 0.6940) [1 per cell]  5 O 1.91-1.99
Nb (0.9887, 0.9961, 0.6442) [1 per cell]  5 O 1.93-2.00
Nb (0.9932, 0.3349, 0.1901) [1 per cell]  6 O 1.92-2.14
Nb (0.9947, 0.9942, 0.8600) [1 per cell]  5 O 1.92-2.02
Si (0.1320, 0.5257, 0.4196) [1 per cell]  4 O 1.61-1.68
Si (0.1334, 0.4778, 0.0844) [1 per cell]  4 O 1.60-1.67
Si (0.1426, 0.8142, 0.4196) [1 per cell]  4 O 1.62-1.66
Si (0.1437, 0.8603, 0.7514) [1 per cell]  4 O 1.62-1.64
Si (0.2020, 0.5011, 0.7520) [1 per cell]  4 O 1.60-1.66
Si (0.2125, 0.8398, 0.0864) [1 per cell]  4 O 1.63-1.65
Si (0.2152, 0.1643, 0.4187) [1 per cell]  4 O 1.62-1.67
Si (0.2794, 0.6638, 0.9183) [1 per cell]  4 O 1.62-1.67
Si (0.2823, 0.3403, 0.5869) [1 per cell]  4 O 1.62-1.65
Si (0.2917, 0.0011, 0.2521) [1 per cell]  4 O 1.60-1.66
Si (0.3513, 0.3600, 0.2517) [1 per cell]  4 O 1.62-1.64
Si (0.3534, 0.9778, 0.5858) [1 per cell]  4 O 1.62-1.65
Si (0.3542, 0.0261, 0.9189) [1 per cell]  4 O 1.62-1.65
Si (0.3540, 0.3127, 0.9172) [1 per cell]  4 O 1.61-1.67
Si (0.6417, 0.6448, 0.7519) [1 per cell]  4 O 1.61-1.65
Si (0.6416, 0.6925, 0.0858) [1 per cell]  4 O 1.61-1.66
Si (0.6428, 0.3556, 0.7539) [1 per cell]  4 O 1.61-1.67
Si (0.6435, 0.3067, 0.4196) [1 per cell]  4 O 1.61-1.70
Si (0.7072, 0.6693, 0.4192) [1 per cell]  4 O 1.61-1.65
Si (0.7121, 0.0057, 0.7527) [1 per cell]  4 O 1.61-1.66
Si (0.7116, 0.3302, 0.0842) [1 per cell]  4 O 1.62-1.67
Si (0.7817, 0.8314, 0.5853) [1 per cell]  4 O 1.62-1.65
Si (0.7882, 0.1682, 0.9183) [1 per cell]  4 O 1.62-1.66
Si (0.8511, 0.8555, 0.2539) [1 per cell]  4 O 1.62-1.66
Si (0.8518, 0.1445, 0.2519) [1 per cell]  4 O 1.61-1.66
Si (0.8520, 0.8078, 0.9193) [1 per cell]  4 O 1.62-1.66
Si (0.8537, 0.1912, 0.5865) [1 per cell]  4 O 1.62-1.66
S (0.1405, 0.1907, 0.0847) [1 per cell]  4 O 1.48-1.50
S (0.1425, 0.1437, 0.7523) [1 per cell]  4 O 1.47-1.52
S (0.3530, 0.6443, 0.2522) [1 per cell]  4 O 1.47-1.50
S (0.3533, 0.6909, 0.5852) [1 per cell]  4 O 1.46-1.51
S (0.6409, 0.0259, 0.4192) [1 per cell]  4 O 1.46-1.52
S (0.6408, 0.9791, 0.0856) [1 per cell]  4 O 1.47-1.51
S (0.7843, 0.5032, 0.2525) [1 per cell]  4 O 1.47-1.52
S (0.8528, 0.5264, 0.9194) [1 per cell]  4 O 1.46-1.53
S (0.8539, 0.4788, 0.5857) [1 per cell]  4 O 1.47-1.51
O (0.0625, 0.9077, 0.4118) [1 per cell]  1 Si 1.62
O (0.0640, 0.5722, 0.0752) [1 per cell]  1 Si 1.60
O (0.0645, 0.4294, 0.4270) [1 per cell]  1 Si 1.61
O (0.0649, 0.7650, 0.4756) [1 per cell]  1 Si 1.65
O (0.0663, 0.5711, 0.3607) [1 per cell]  1 Si 1.63
O (0.0657, 0.9062, 0.6955) [1 per cell]  1 Si 1.62
O (0.0668, 0.4293, 0.1425) [1 per cell]  1 Si 1.64
O (0.0666, 0.7655, 0.7608) [1 per cell]  1 Si 1.63
O (0.0702, 0.1034, 0.0922) [1 per cell]  1 S 1.50
O (0.0706, 0.1076, 0.8046) [1 per cell]  1 S 1.47
O (0.0708, 0.2309, 0.0331) [1 per cell]  1 S 1.48
O (0.0728, 0.2330, 0.7441) [1 per cell]  1 S 1.52
O (0.0989, 0.0825, 0.4112) [1 per cell]  1 Si 1.65
O (0.0995, 0.9241, 0.0937) [1 per cell]  1 Si 1.65
O (0.1015, 0.5850, 0.7644) [1 per cell]  1 Si 1.60
O (0.1025, 0.4159, 0.7394) [1 per cell]  1 Si 1.61
O (0.1064, 0.2517, 0.4252) [1 per cell]  1 Si 1.67
O (0.1076, 0.7540, 0.0784) [1 per cell]  1 Si 1.63
O (0.1105, 0.5858, 0.4768) [1 per cell]  1 Si 1.62
O (0.1109, 0.4149, 0.0290) [1 per cell]  1 Si 1.62
O (0.1111, 0.7513, 0.3627) [1 per cell]  1 Si 1.66
O (0.1132, 0.9200, 0.8091) [1 per cell]  1 Si 1.64
O (0.1152, 0.2444, 0.1382) [1 per cell]  1 S 1.50
O (0.1169, 0.0922, 0.6997) [1 per cell]  1 S 1.47
O (0.1705, 0.3477, 0.2433) [1 per cell]  1 Si 1.63
O (0.1728, 0.0158, 0.9108) [1 per cell]  1 Si 1.64
O (0.1732, 0.9900, 0.5946) [1 per cell]  1 Si 1.63
O (0.1742, 0.3221, 0.9315) [1 per cell]  1 Si 1.64
O (0.1743, 0.3235, 0.6425) [1 per cell]  1 Si 1.62
O (0.1748, 0.6809, 0.8618) [1 per cell]  1 Si 1.62
O (0.1776, 0.3528, 0.5288) [1 per cell]  1 Si 1.64
O (0.1777, 0.6518, 0.9765) [1 per cell]  1 Si 1.63
O (0.1785, 0.0171, 0.1960) [1 per cell]  1 Si 1.66
O (0.1805, 0.9838, 0.3082) [1 per cell]  1 Si 1.65
O (0.1884, 0.6547, 0.2603) [1 per cell]  1 S 1.49
O (0.1884, 0.6799, 0.5762) [1 per cell]  1 S 1.49
O (0.3054, 0.1563, 0.7602) [1 per cell]  1 S 1.48
O (0.3050, 0.1811, 0.0781) [1 per cell]  1 S 1.48
O (0.3130, 0.4836, 0.8081) [1 per cell]  1 Si 1.65
O (0.3154, 0.5172, 0.6959) [1 per cell]  1 Si 1.66
O (0.3168, 0.1517, 0.4763) [1 per cell]  1 Si 1.62
O (0.3171, 0.8529, 0.0291) [1 per cell]  1 Si 1.63
O (0.3181, 0.4893, 0.0947) [1 per cell]  1 Si 1.67
O (0.3183, 0.5161, 0.4108) [1 per cell]  1 Si 1.68
O (0.3191, 0.1811, 0.3617) [1 per cell]  1 Si 1.62
O (0.3197, 0.8233, 0.1427) [1 per cell]  1 Si 1.63
O (0.3215, 0.8213, 0.4306) [1 per cell]  1 Si 1.62
O (0.3228, 0.8455, 0.7430) [1 per cell]  1 Si 1.62
O (0.3762, 0.7430, 0.6375) [1 per cell]  1 S 1.46
O (0.3801, 0.5912, 0.2001) [1 per cell]  1 S 1.47
O (0.3823, 0.2505, 0.8621) [1 per cell]  1 Si 1.61
O (0.3851, 0.0854, 0.9775) [1 per cell]  1 Si 1.65
O (0.3847, 0.9158, 0.5287) [1 per cell]  1 Si 1.65
O (0.3863, 0.2539, 0.5782) [1 per cell]  1 Si 1.64
O (0.3858, 0.4215, 0.3084) [1 per cell]  1 Si 1.64
O (0.3873, 0.7515, 0.9254) [1 per cell]  1 Si 1.67
O (0.3920, 0.9158, 0.2395) [1 per cell]  1 Si 1.62
O (0.3930, 0.0849, 0.2643) [1 per cell]  1 Si 1.60
O (0.3951, 0.4243, 0.5931) [1 per cell]  1 Si 1.65
O (0.3959, 0.5823, 0.9120) [1 per cell]  1 Si 1.64
O (0.4205, 0.7326, 0.2443) [1 per cell]  1 S 1.50
O (0.4232, 0.6025, 0.5909) [1 per cell]  1 S 1.51
O (0.4226, 0.7308, 0.5322) [1 per cell]  1 S 1.50
O (0.4240, 0.6065, 0.3046) [1 per cell]  1 S 1.48
O (0.4264, 0.2655, 0.2608) [1 per cell]  1 Si 1.62
O (0.4286, 0.0711, 0.8621) [1 per cell]  1 Si 1.62
O (0.4287, 0.2657, 0.9759) [1 per cell]  1 Si 1.67
O (0.4288, 0.9296, 0.6420) [1 per cell]  1 Si 1.63
O (0.4298, 0.4076, 0.1962) [1 per cell]  1 Si 1.63
O (0.4299, 0.9303, 0.9287) [1 per cell]  1 Si 1.64
O (0.4309, 0.0713, 0.5741) [1 per cell]  1 Si 1.62
O (0.4314, 0.4081, 0.9124) [1 per cell]  1 Si 1.63
O (0.5622, 0.7376, 0.0294) [1 per cell]  1 Si 1.63
O (0.5631, 0.2664, 0.4761) [1 per cell]  1 Si 1.61
O (0.5633, 0.5990, 0.8090) [1 per cell]  1 Si 1.65
O (0.5637, 0.2627, 0.7627) [1 per cell]  1 Si 1.61
O (0.5641, 0.7395, 0.7428) [1 per cell]  1 Si 1.63
O (0.5650, 0.4031, 0.6962) [1 per cell]  1 Si 1.67
O (0.5658, 0.5960, 0.0981) [1 per cell]  1 Si 1.66
O (0.5686, 0.4065, 0.4092) [1 per cell]  1 Si 1.70, 1 Nb 1.89
O (0.5723, 0.0623, 0.3665) [1 per cell]  1 S 1.47
O (0.5718, 0.0661, 0.0787) [1 per cell]  1 S 1.49
O (0.5717, 0.9364, 0.4270) [1 per cell]  1 S 1.52
O (0.5741, 0.9387, 0.1388) [1 per cell]  1 S 1.50
O (0.6006, 0.0866, 0.7628) [1 per cell]  1 Si 1.61
O (0.6010, 0.2481, 0.0759) [1 per cell]  1 Si 1.62
O (0.6032, 0.7528, 0.4313) [1 per cell]  1 Si 1.61
O (0.6038, 0.5835, 0.4075) [1 per cell]  1 Si 1.64
O (0.6072, 0.4186, 0.0941) [1 per cell]  1 Si 1.67
O (0.6073, 0.9177, 0.7460) [1 per cell]  1 Si 1.66
O (0.6080, 0.7524, 0.1428) [1 per cell]  1 Si 1.63
O (0.6087, 0.5842, 0.6944) [1 per cell]  1 Si 1.65
O (0.6117, 0.2504, 0.3615) [1 per cell]  1 Si 1.62
O (0.6120, 0.4194, 0.8092) [1 per cell]  1 Si 1.63
O (0.6169, 0.0773, 0.4717) [1 per cell]  1 S 1.46
O (0.6196, 0.9253, 0.0338) [1 per cell]  1 S 1.47
O (0.6725, 0.8243, 0.9286) [1 per cell]  1 Si 1.63
O (0.6733, 0.8466, 0.2402) [1 per cell]  1 Si 1.62
O (0.6745, 0.1541, 0.2638) [1 per cell]  1 Si 1.61
O (0.6747, 0.8477, 0.5287) [1 per cell]  1 Si 1.63
O (0.6761, 0.1795, 0.5734) [1 per cell]  1 Si 1.62
O (0.6775, 0.8179, 0.6423) [1 per cell]  1 Si 1.62
O (0.6789, 0.1521, 0.9758) [1 per cell]  1 Si 1.66
O (0.6795, 0.1850, 0.8627) [1 per cell]  1 Si 1.62
O (0.6866, 0.4903, 0.5927) [1 per cell]  1 S 1.51
O (0.6886, 0.5127, 0.9133) [1 per cell]  1 S 1.49
O (0.6910, 0.4878, 0.3047) [1 per cell]  1 S 1.48
O (0.6932, 0.5162, 0.1998) [1 per cell]  1 S 1.47
O (0.8058, 0.0127, 0.4125) [1 per cell]  1 S 1.49
O (0.8079, 0.9899, 0.0936) [1 per cell]  1 S 1.51
O (0.8175, 0.0173, 0.6953) [1 per cell]  1 Si 1.63
O (0.8172, 0.3197, 0.1427) [1 per cell]  1 Si 1.65
O (0.8166, 0.6510, 0.4755) [1 per cell]  1 Si 1.64
O (0.8166, 0.6832, 0.3622) [1 per cell]  1 Si 1.65
O (0.8184, 0.6782, 0.0740) [1 per cell]  1 Si 1.61
O (0.8203, 0.3490, 0.0293) [1 per cell]  1 Si 1.62
O (0.8196, 0.6531, 0.7639) [1 per cell]  1 Si 1.61
O (0.8200, 0.9881, 0.8092) [1 per cell]  1 Si 1.64
O (0.8211, 0.3476, 0.7401) [1 per cell]  1 Si 1.62
O (0.8220, 0.3254, 0.4278) [1 per cell]  1 Si 1.63
O (0.8759, 0.4255, 0.5332) [1 per cell]  1 S 1.47
O (0.8782, 0.5770, 0.9720) [1 per cell]  1 S 1.46
O (0.8820, 0.4234, 0.2461) [1 per cell]  1 S 1.52
O (0.8823, 0.7497, 0.8619) [1 per cell]  1 Si 1.62
O (0.8843, 0.5791, 0.2604) [1 per cell]  1 S 1.48
O (0.8836, 0.9182, 0.3091) [1 per cell]  1 Si 1.63
O (0.8862, 0.2530, 0.6424) [1 per cell]  1 Si 1.63
O (0.8867, 0.0852, 0.1943) [1 per cell]  1 Si 1.64
O (0.8886, 0.9177, 0.5916) [1 per cell]  1 Si 1.65
O (0.8904, 0.2532, 0.9322) [1 per cell]  1 Si 1.63
O (0.8922, 0.7481, 0.5748) [1 per cell]  1 Si 1.64
O (0.8939, 0.0839, 0.9105) [1 per cell]  1 Si 1.62
O (0.9204, 0.4395, 0.6384) [1 per cell]  1 S 1.48
O (0.9223, 0.5619, 0.8667) [1 per cell]  1 S 1.47
O (0.9228, 0.4365, 0.9272) [1 per cell]  1 S 1.53
O (0.9228, 0.5663, 0.5778) [1 per cell]  1 S 1.50
O (0.9279, 0.9054, 0.9124) [1 per cell]  1 Si 1.66
O (0.9286, 0.2412, 0.2426) [1 per cell]  1 Si 1.66
O (0.9290, 0.7604, 0.2626) [1 per cell]  1 Si 1.64
O (0.9305, 0.2392, 0.5292) [1 per cell]  1 Si 1.66
O (0.9296, 0.7647, 0.9762) [1 per cell]  1 Si 1.62
O (0.9296, 0.9024, 0.1964) [1 per cell]  1 Si 1.66
O (0.9320, 0.0966, 0.5945) [1 per cell]  1 Si 1.63
O (0.9315, 0.0999, 0.3088) [1 per cell]  1 Si 1.64

Results
Formation enthalpy at 0 K ... -2939 meV per atom
V ... 3164.5 Å³ per cell
Total magnetic moment ... 0.00 μB/cell

---

Record 3
This record from Materials Project describes crystalline Nd3TaCl6O4 at its relaxed geometry. The functional is PBE-GGA.

abc: 12.9263 12.9263 3.9565
angles: 90.00 90.00 120.00
With the nearest neighbours (Å) after each atom.
Space group P6_3/m (No. 176)
Unique sites:
Nd (0.1151, 0.3962, 0.2500) [6 per cell]  2 O 2.37
Ta (0.3333, 0.6667, 0.7500) [2 per cell]  5 O 1.91-1.98
Cl (0.0698, 0.6273, 0.2500) [6 per cell]  4 Nd 3.00-3.32, 2 O 3.02-3.18
Cl (0.1060, 0.8568, 0.7500) [6 per cell]  3 Nd 2.89-3.08, 1 O 3.04
O (0.2002, 0.5078, 0.7500) [6 per cell]  1 Ta 1.91
O (0.3333, 0.6667, 0.2500) [2 per cell]  2 Ta 1.98

Results
Formation enthalpy at 0 K ... -2868 meV per atom
V ... 572.5 Å³ per cell
Total magnetic moment ... 0.00 μB/cell

---

Which of these has the lowest formation enthalpy at 0 K? Na2Ta4Nb4Si9S3O48